# TiMnCrP3O12 (GGA+U, relaxed)
# Formation energy: -2.78 eV per atom
data_TiMnCrP3O12
_cell_length_a 8.6186
_cell_length_b 8.6186
_cell_length_c 21.2044
_cell_angle_alpha 90.00
_cell_angle_beta 90.00
_cell_angle_gamma 120.00
_space_group_name_H-M_alt 'R 3 c'
_space_group_IT_number 161
_space_group_name_Hall 'R 3 -2"c'
loop_
_atom_site_label
_atom_site_fract_x
_atom_site_fract_y
_atom_site_fract_z
_atom_site_occupancy
Ti1 0.0000 0.0000 0.0000 1
Mn1 0.0000 0.0000 0.3539 1
Cr1 0.0000 0.0000 0.2122 1
P1 0.0425 0.3747 0.2725 1
O1 0.0031 0.1906 0.5451 1
O2 0.0207 0.1852 0.2756 1
O3 0.1406 0.4704 0.3317 1
O4 0.1695 0.4809 0.6004 1


# Mn2V3CrP6O24 (GGA+U, relaxed)
# Formation energy: -2.61 eV per atom
data_Mn2V3CrP6O24
_cell_length_a 8.6156
_cell_length_b 8.6156
_cell_length_c 21.1519
_cell_angle_alpha 90.00
_cell_angle_beta 90.00
_cell_angle_gamma 120.00
_space_group_name_H-M_alt 'R 3'
_space_group_IT_number 146
_space_group_name_Hall 'R 3'
loop_
_atom_site_label
_atom_site_fract_x
_atom_site_fract_y
_atom_site_fract_z
_atom_site_occupancy
Mn1 0.0000 0.0000 0.0000 1
Mn2 0.0000 0.0000 0.4998 1
V1 0.0000 0.0000 0.1438 1
V2 0.0000 0.0000 0.3561 1
V3 0.0000 0.0000 0.8553 1
Cr1 0.0000 0.0000 0.6422 1
P1 0.0002 0.2905 0.7490 1
P2 0.0002 0.7083 0.2496 1
O1 0.0002 0.8081 0.1893 1
O2 0.0067 0.1991 0.6890 1
O3 0.0206 0.1852 0.4205 1
O4 0.0212 0.8365 0.9200 1
O5 0.1425 0.6708 0.9765 1
O6 0.1426 0.4722 0.4768 1
O7 0.1687 0.4830 0.7468 1
O8 0.1687 0.6885 0.2445 1


# MnV3Cr2P6O24 (GGA+U, relaxed)
# Formation energy: -2.56 eV per atom
data_MnV3Cr2P6O24
_cell_length_a 8.6584
_cell_length_b 8.6584
_cell_length_c 20.7902
_cell_angle_alpha 90.00
_cell_angle_beta 90.00
_cell_angle_gamma 120.00
_space_group_name_H-M_alt 'R 3'
_space_group_IT_number 146
_space_group_name_Hall 'R 3'
loop_
_atom_site_label
_atom_site_fract_x
_atom_site_fract_y
_atom_site_fract_z
_atom_site_occupancy
Mn1 0.0000 0.0000 0.0000 1
V1 0.0000 0.0000 0.2920 1
V2 0.0000 0.0000 0.5024 1
V3 0.0000 0.0000 0.7921 1
Cr1 0.0000 0.0000 0.1471 1
Cr2 0.0000 0.0000 0.6465 1
P1 0.0015 0.7060 0.4000 1
P2 0.0022 0.3008 0.8963 1
O1 0.0061 0.1738 0.5671 1
O2 0.0061 0.2184 0.9590 1
O3 0.0192 0.8318 0.0800 1
O4 0.0214 0.8208 0.4594 1
O5 0.1371 0.6714 0.0053 1
O6 0.1394 0.4715 0.5033 1
O7 0.1687 0.4928 0.8855 1
O8 0.1701 0.6831 0.3924 1


# Mn2CrSbO6 (GGA+U, relaxed)
# Formation energy: -2.08 eV per atom
data_Mn2CrSbO6
_cell_length_a 5.3065
_cell_length_b 5.4568
_cell_length_c 7.6855
_cell_angle_alpha 90.10
_cell_angle_beta 90.27
_cell_angle_gamma 90.01
_space_group_name_H-M_alt 'P -1'
_space_group_IT_number 2
loop_
_space_group_symop_operation_xyz
'x,y,z'
'-x,-y,-z'
loop_
_atom_site_label
_atom_site_fract_x
_atom_site_fract_y
_atom_site_fract_z
_atom_site_occupancy
Mn1 0.0118 0.0520 0.2480 1
Mn2 0.4879 0.5524 0.2523 1
Cr1 0.0000 0.5000 0.0000 1
Cr2 0.5000 0.0000 0.5000 1
Sb1 0.0000 0.5000 0.5000 1
Sb2 0.5000 0.0000 0.0000 1
O1 0.1201 0.5569 0.7484 1
O2 0.1868 0.8056 0.4335 1
O3 0.1895 0.8093 0.0613 1
O4 0.3101 0.3085 0.4386 1
O5 0.3129 0.3055 0.0665 1
O6 0.3795 0.0569 0.7517 1


# Sr2MnCrO6 (GGA+U, relaxed)
# Formation energy: -2.52 eV per atom
data_Sr2MnCrO6
_cell_length_a 10.9986
_cell_length_b 7.6672
_cell_length_c 5.5016
_cell_angle_alpha 90.00
_cell_angle_beta 90.07
_cell_angle_gamma 90.00
_space_group_name_H-M_alt 'C 1 m 1'
_space_group_IT_number 8
loop_
_space_group_symop_operation_xyz
'x,y,z'
'x,-y,z'
'x+1/2,y+1/2,z'
'x+1/2,-y+1/2,z'
loop_
_atom_site_label
_atom_site_fract_x
_atom_site_fract_y
_atom_site_fract_z
_atom_site_occupancy
Sr1 0.0000 0.2485 0.0000 1
Sr2 0.2502 0.2497 0.5006 1
Mn1 0.9999 0.0000 0.5023 1
Mn2 0.0000 0.5000 0.4981 1
Cr1 0.2489 0.5000 0.0010 1
Cr2 0.2510 0.0000 0.0011 1
O1 0.0002 0.2501 0.5014 1
O2 0.1239 0.5000 0.2573 1
O3 0.1252 0.0000 0.2448 1
O4 0.1246 0.0000 0.7420 1
O5 0.1252 0.5000 0.7544 1
O6 0.2502 0.2500 0.0000 1
O7 0.3751 0.0000 0.7541 1
O8 0.3764 0.0000 0.2575 1
O9 0.3755 0.5000 0.2442 1
O10 0.3762 0.5000 0.7428 1


no.,VASP energy (eV per formula unit)
1,-140.54
2,-273.55
3,-271.91
4,-73.12
5,-69.27